[1]
Here is TiFeP after structural relaxation from the Materials Project database. Energies are from PBE.

Cell and atoms, written as POSCAR:
```
TiFeP
1.0
1.570 1.704 -5.503
-2.681 3.870 3.673
3.192 1.041 1.233
Ti Fe P
3 3 3
Direct
0.580 0.580 0.000
0.420 0.000 0.000
0.000 0.420 0.000
0.243 0.243 0.500
0.757 0.000 0.500
0.000 0.757 0.500
0.000 0.000 0.000
0.667 0.333 0.500
0.333 0.667 0.500
```

Computed properties:
**Magnetic moment**: 0.000 μB per cell

=====

[2]
Here is Ti3Fe5P4 after structural relaxation from the Materials Project database. Energies are from PBE.

Cell and atoms, written as POSCAR:
```
Ti3Fe5P4
1.0
-3.189 -1.473 -0.687
2.532 -3.639 -3.945
1.085 -4.581 4.783
Ti Fe P
3 5 4
Direct
0.000 0.979 0.317
0.500 0.524 0.828
0.500 0.028 0.678
0.000 0.355 0.558
0.000 0.850 0.942
0.500 0.643 0.439
0.500 0.146 0.062
0.000 0.468 0.174
0.000 0.728 0.622
0.000 0.229 0.888
0.500 0.284 0.366
0.500 0.765 0.127
```

=====

[3]
Here is Tm2Fe12P7 after structural relaxation from the Materials Project database. Energies are from PBE.

Cell and atoms, written as POSCAR:
```
Tm2Fe12P7
1.0
3.418 5.572 -6.099
-8.529 0.845 2.545
1.014 2.271 2.643
Tm Fe P
2 12 7
Direct
0.333 0.667 0.000
0.000 0.000 0.500
0.723 0.962 0.000
0.239 0.277 0.000
0.038 0.761 0.000
0.941 0.453 0.000
0.512 0.059 0.000
0.547 0.488 0.000
0.099 0.383 0.500
0.283 0.901 0.500
0.617 0.717 0.500
0.763 0.215 0.500
0.452 0.237 0.500
0.785 0.548 0.500
0.963 0.219 0.000
0.256 0.037 0.000
0.781 0.744 0.000
0.068 0.623 0.500
0.555 0.932 0.500
0.377 0.445 0.500
0.667 0.333 0.000
```

=====

Let's list VASP energy in order: -8.29 -8.22 -7.79 eV/atom.
Let's list energy of formation from the pure elements in order: -1.03 -0.91 -0.72 eV/atom.